# PBE-GGA V2PS10, relaxed
data_V2PS10
_chemical_formula_sum 'V16 P8 S80'
_symmetry_space_group_name_H-M 'P 1 21/c 1'
_symmetry_Int_Tables_number 14
_cell_length_a 12.6907
_cell_length_b 7.6750
_cell_length_c 24.7568
_cell_angle_alpha 90.00
_cell_angle_beta 95.79
_cell_angle_gamma 90.00
loop_
_symmetry_equiv_pos_as_xyz
'x,y,z'
'-x,-y,-z'
'-x,y+1/2,-z+1/2'
'x,-y+1/2,z+1/2'
loop_
_atom_site_label
_atom_site_type_symbol
_atom_site_fract_x
_atom_site_fract_y
_atom_site_fract_z
V1 V 0.0223 0.0573 0.3642
V2 V 0.1840 0.0570 0.6339
V3 V 0.3158 0.0503 0.3636
V4 V 0.4767 0.0649 0.6330
P1 P 0.1802 0.1263 0.9011
P2 P 0.3159 0.1352 0.0833
S1 S 0.0363 0.1046 0.8589
S2 S 0.0433 0.1092 0.5657
S3 S 0.0720 0.1350 0.7006
S4 S 0.0948 0.6383 0.0706
S5 S 0.1173 0.6145 0.2047
S6 S 0.1563 0.0512 0.2977
S7 S 0.1644 0.6537 0.8488
S8 S 0.1786 0.5593 0.4676
S9 S 0.1833 0.1246 0.4310
S10 S 0.1898 0.1055 0.1250
S11 S 0.3045 0.1132 0.8572
S12 S 0.3159 0.1045 0.5637
S13 S 0.3228 0.5414 0.5150
S14 S 0.3370 0.6380 0.1576
S15 S 0.3428 0.0883 0.6988
S16 S 0.3839 0.6525 0.8013
S17 S 0.4066 0.6135 0.9349
S18 S 0.4285 0.0960 0.2943
S19 S 0.4566 0.1335 0.4289
S20 S 0.4609 0.0964 0.1230
# Magnetic moment (μB per cell): 0.0
# MP2020-corrected energy (eV per atom): -5.8500
# Formation energy (eV per atom): -0.854
# Crystal system: monoclinic
# Theoretical density (Mg/m³): 2.5

=====

# PBE-GGA Ca2CuBr2O2, relaxed
data_Ca2CuBr2O2
_chemical_formula_sum 'Ca4 Cu2 Br4 O4'
_symmetry_space_group_name_H-M 'I 4/m m m'
_symmetry_Int_Tables_number 139
_symmetry_space_group_name_Hall '-I 4 2'
_cell_length_a 3.8849
_cell_length_b 3.8849
_cell_length_c 17.6984
_cell_angle_alpha 90.00
_cell_angle_beta 90.00
_cell_angle_gamma 90.00
loop_
_atom_site_label
_atom_site_type_symbol
_atom_site_fract_x
_atom_site_fract_y
_atom_site_fract_z
Ca1 Ca 0.0000 0.0000 0.0889
Cu1 Cu 0.0000 0.0000 0.5000
Br1 Br 0.0000 0.0000 0.3297
O1 O 0.0000 0.5000 0.0000
# Magnetic moment (μB per cell): 0.0
# MP2020-corrected energy (eV per atom): -5.1477
# Formation energy (eV per atom): -2.108
# Crystal system: tetragonal
# Theoretical density (Mg/m³): 4.2

=====

# PBE-GGA MgAs4, relaxed
data_MgAs4
_chemical_formula_sum 'Mg4 As16'
_symmetry_space_group_name_H-M 'P 41 21 2'
_symmetry_Int_Tables_number 92
_cell_length_a 5.4740
_cell_length_b 5.4740
_cell_length_c 16.0998
_cell_angle_alpha 90.00
_cell_angle_beta 90.00
_cell_angle_gamma 90.00
loop_
_symmetry_equiv_pos_as_xyz
'x,y,z'
'-y+1/2,x+1/2,z+1/4'
'-x,-y,z+1/2'
'y+1/2,-x+1/2,z+3/4'
'x+1/2,-y+1/2,-z+3/4'
'-y,-x,-z+1/2'
'-x+1/2,y+1/2,-z+1/4'
'y,x,-z'
loop_
_atom_site_label
_atom_site_type_symbol
_atom_site_fract_x
_atom_site_fract_y
_atom_site_fract_z
Mg1 Mg 0.1969 0.1969 0.0000
As1 As 0.0239 0.9006 0.1250
As2 As 0.0670 0.6756 0.7972
# Largest piezoelectric modulus (C/m2): 0.16
# Formation energy (eV per atom): -0.226
# Crystal system: tetragonal
# Theoretical density (Mg/m³): 4.5